# 1
## KVHSe2O7 (GGA+U)

Data for crystalline KVHSe2O7 at its relaxed geometry.

As for the formation energy: -1732.2 meV per atom. As for the total moment: 0.999 μB/f.u.

It has space group P2_1/m (No. 11), with a = 4.1593 Å, b = 10.6228 Å, c = 7.9591 Å, α = 90.00°, β = 96.84° and γ = 90.00°. The asymmetric unit holds K at (0.1001, 0.2500, 0.0529), V at (0.0505, 0.7500, 0.4426), H at (0.5000, 0.0000, 0.0000), Se at (0.2905, 0.5113, 0.6895), O at (0.0159, 0.1171, 0.3805), O at (0.0729, 0.1208, 0.7395), O at (0.3847, 0.5735, 0.8921) and O at (0.4526, 0.7500, 0.4521).

---

# 2
## LiVF4 (GGA+U)

Data for crystalline LiVF4 at its relaxed geometry.

As for the formation energy: -3141.8 meV per atom. Its distance to the lowest polymorph of the same formula is 77 meV per atom. As for the total moment: 2.000 μB/f.u.

It has space group Pnma (No. 62), with a = 7.8542 Å, b = 8.6112 Å, c = 10.2519 Å, α = 90.00°, β = 90.00° and γ = 90.00°. The asymmetric unit holds Li at (0.2088, 0.2500, 0.0520), Li at (0.2439, 0.2500, 0.4526), V at (0.1392, 0.0606, 0.7489), F at (0.1096, 0.5672, 0.2635), F at (0.1271, 0.5871, 0.8878), F at (0.1336, 0.2500, 0.8736), F at (0.1481, 0.2500, 0.6228) and F at (0.1600, 0.5837, 0.6107).